Arrangement a

VASP calculation (r2SCAN) on crystalline Nb3S4 at its relaxed geometry.

The structure in CIF format:
```
data_Nb3S4
_symmetry_space_group_name_H-M 'P 1'
_symmetry_Int_Tables_number 1
_cell_length_a 9.675
_cell_length_b 9.675
_cell_length_c 3.410
_cell_angle_alpha 90.00
_cell_angle_beta 90.00
_cell_angle_gamma 120.00
loop_
_symmetry_equiv_pos_as_xyz
'x,y,z'
loop_
_atom_site_label
_atom_site_type_symbol
_atom_site_fract_x
_atom_site_fract_y
_atom_site_fract_z
Nb1 Nb 0.515 0.888 0.750
Nb2 Nb 0.627 0.515 0.250
Nb3 Nb 0.888 0.373 0.250
Nb4 Nb 0.112 0.627 0.750
Nb5 Nb 0.373 0.485 0.750
Nb6 Nb 0.485 0.112 0.250
S1 S 0.654 0.712 0.750
S2 S 0.942 0.654 0.250
S3 S 0.712 0.058 0.250
S4 S 0.288 0.942 0.750
S5 S 0.058 0.346 0.750
S6 S 0.346 0.288 0.250
S7 S 0.333 0.667 0.250
S8 S 0.667 0.333 0.750
```

Results
* calculated density: 4.89 g/cm3
* size of the total moment: 0.0000 μB/atom

=====

Arrangement b

VASP calculation (r2SCAN) on crystalline Nb3S4 at its relaxed geometry.

The structure in CIF format:
```
data_Nb3S4
_symmetry_space_group_name_H-M 'P 1'
_symmetry_Int_Tables_number 1
_cell_length_a 3.316
_cell_length_b 3.316
_cell_length_c 13.084
_cell_angle_alpha 90.00
_cell_angle_beta 90.00
_cell_angle_gamma 120.00
loop_
_symmetry_equiv_pos_as_xyz
'x,y,z'
loop_
_atom_site_label
_atom_site_type_symbol
_atom_site_fract_x
_atom_site_fract_y
_atom_site_fract_z
Nb1 Nb 0.000 0.000 0.245
Nb2 Nb 0.000 0.000 0.755
Nb3 Nb 0.000 0.000 0.500
S1 S 0.333 0.667 0.371
S2 S 0.667 0.333 0.629
S3 S 0.667 0.333 0.875
S4 S 0.333 0.667 0.125
```

Results
* calculated density: 5.42 g/cm3
* size of the total moment: 0.0000 μB/atom

=====

Least stable = arrangement b

=====

Arrangement a

VASP calculation (r2SCAN) on crystalline Be3N2 at its relaxed geometry.

The structure in CIF format:
```
data_Be3N2
_symmetry_space_group_name_H-M 'P 1'
_symmetry_Int_Tables_number 1
_cell_length_a 7.039
_cell_length_b 7.039
_cell_length_c 7.039
_cell_angle_alpha 109.47
_cell_angle_beta 109.47
_cell_angle_gamma 109.47
loop_
_symmetry_equiv_pos_as_xyz
'x,y,z'
loop_
_atom_site_label
_atom_site_type_symbol
_atom_site_fract_x
_atom_site_fract_y
_atom_site_fract_z
Be1 Be 0.527 0.766 0.531
Be2 Be 0.996 0.969 0.735
Be3 Be 0.260 0.765 0.734
Be4 Be 0.504 0.240 0.973
Be5 Be 0.969 0.735 0.996
Be6 Be 0.734 0.260 0.765
Be7 Be 0.240 0.973 0.504
Be8 Be 0.531 0.527 0.766
Be9 Be 0.766 0.531 0.527
Be10 Be 0.735 0.996 0.969
Be11 Be 0.765 0.734 0.260
Be12 Be 0.973 0.504 0.240
Be13 Be 0.473 0.234 0.469
Be14 Be 0.004 0.031 0.265
Be15 Be 0.740 0.235 0.266
Be16 Be 0.496 0.760 0.027
Be17 Be 0.031 0.265 0.004
Be18 Be 0.266 0.740 0.235
Be19 Be 0.760 0.027 0.496
Be20 Be 0.469 0.473 0.234
Be21 Be 0.234 0.469 0.473
Be22 Be 0.265 0.004 0.031
Be23 Be 0.235 0.266 0.740
Be24 Be 0.027 0.496 0.760
N1 N 0.250 0.229 0.979
N2 N 0.271 0.521 0.750
N3 N 0.521 0.750 0.271
N4 N 0.229 0.979 0.250
N5 N 0.979 0.250 0.229
N6 N 0.750 0.271 0.521
N7 N 0.750 0.771 0.021
N8 N 0.729 0.479 0.250
N9 N 0.479 0.250 0.729
N10 N 0.771 0.021 0.750
N11 N 0.021 0.750 0.771
N12 N 0.250 0.729 0.479
N13 N 0.500 0.500 0.500
N14 N 0.000 0.000 0.500
N15 N 0.500 0.000 0.000
N16 N 0.000 0.500 0.000
```

Results
* calculated density: 2.72 g/cm3
* size of the total moment: 0.0000 μB/atom

=====

Arrangement b

VASP calculation (r2SCAN) on crystalline Be3N2 at its relaxed geometry.

The structure in CIF format:
```
data_Be3N2
_symmetry_space_group_name_H-M 'P 1'
_symmetry_Int_Tables_number 1
_cell_length_a 2.842
_cell_length_b 2.842
_cell_length_c 9.747
_cell_angle_alpha 90.00
_cell_angle_beta 90.00
_cell_angle_gamma 120.00
loop_
_symmetry_equiv_pos_as_xyz
'x,y,z'
loop_
_atom_site_label
_atom_site_type_symbol
_atom_site_fract_x
_atom_site_fract_y
_atom_site_fract_z
Be1 Be 0.333 0.667 0.078
Be2 Be 0.667 0.333 0.578
Be3 Be 0.667 0.333 0.922
Be4 Be 0.333 0.667 0.422
Be5 Be 0.000 0.000 0.250
Be6 Be 0.000 0.000 0.750
N1 N 0.000 0.000 0.000
N2 N 0.000 0.000 0.500
N3 N 0.333 0.667 0.250
N4 N 0.667 0.333 0.750
```

Results
* calculated density: 2.68 g/cm3
* size of the total moment: 0.0000 μB/atom

=====

Least stable = arrangement b